1.
Computed, not measured: an optimized crystal structure of ReW2O8 at the GGA+U level of DFT.

Cell: 5.0901 5.8173 10.6609 Å, 90.00 118.25 90.00°
Closest atoms and distances in Å follow each position.
Space group P2/c (No. 13)
Inequivalent atoms, fractional coordinates:
Re 0.0000 0.1485 0.2500 x2  6 O 1.97-2.11
W 0.2614 0.3333 0.9963 x4  4 O 1.86-2.07
O 0.0191 0.0975 0.8806 x4  1 W 1.87, 1 Re 1.97
O 0.0268 0.3886 0.1082 x4  2 W 2.07-2.11, 1 Re 2.11
O 0.4397 0.1569 0.3637 x4  1 W 1.86, 1 Re 1.98
O 0.4539 0.3933 0.8885 x4  1 W 1.86

Output
As for the energy of formation from the pure elements: -1933 meV/atom. For the energy, the calculation gives -169.7 eV per cell. The offset from the most stable computed form comes out at 0.0 meV/atom. For the total moment, the calculation gives 2.3 μB/f.u.

2.
Computed, not measured: an optimized crystal structure of VO2F at the GGA+U level of DFT.

Cell: 5.0781 5.1084 9.0081 Å, 76.52 76.01 62.19°
Closest atoms and distances in Å follow each position.
Space group P-1 (No. 2)
Inequivalent atoms, fractional coordinates:
V 0.0000 0.0000 0.0000 x1  4 O 1.78-1.92, 2 F 1.90
V 0.2069 0.3149 0.2503 x2  4 O 1.72-1.87
V 0.5000 0.5000 0.5000 x1  4 O 1.80-1.91, 2 F 1.89
O 0.0599 0.1831 0.1259 x2  2 V 1.78-1.87
O 0.1263 0.5367 0.6268 x2  2 V 1.72-1.91
O 0.2013 0.6254 0.1240 x2  2 V 1.72-1.92
O 0.4542 0.2972 0.3766 x2  2 V 1.80-1.85
F 0.2910 0.8636 0.3766 x2  1 V 1.89
F 0.3724 0.9631 0.8747 x2  1 V 1.90

Output
As for the energy of formation from the pure elements: -2407 meV/atom. For the energy, the calculation gives -107.9 eV per cell. For the total moment, the calculation gives 0.0 μB/f.u.

3.
Computed, not measured: an optimized crystal structure of LiMnB2O5 at the GGA+U level of DFT.

Cell: 6.7410 9.4751 6.4930 Å, 90.00 106.24 90.00°
Closest atoms and distances in Å follow each position.
Space group P2_1/c (No. 14)
Inequivalent atoms, fractional coordinates:
Li 0.2451 0.1876 0.2996 x4  3 O 1.97-2.09
Mn 0.1806 0.5611 0.1819 x4  4 O 1.93-1.99
B 0.1408 0.6312 0.7062 x4  3 O 1.35-1.40
B 0.4942 0.5476 0.7226 x4  3 O 1.38
O 0.0425 0.7426 0.1756 x4  1 B 1.35
O 0.0909 0.5182 0.8188 x4  1 B 1.39
O 0.3088 0.6127 0.6209 x4  2 B 1.38-1.40
O 0.3207 0.1187 0.7440 x4  1 B 1.38
O 0.4803 0.5920 0.2173 x4  1 B 1.38

Output
As for the energy of formation from the pure elements: -2498 meV/atom. For the energy, the calculation gives -266.2 eV per cell. The offset from the most stable computed form comes out at 45.6 meV/atom. For the total moment, the calculation gives 4.0 μB/f.u.

4.
Computed, not measured: an optimized crystal structure of NaCaYWO6 at the GGA+U level of DFT.

Cell: 8.3066 8.3066 8.3066 Å, 90.00 90.00 90.00°
Closest atoms and distances in Å follow each position.
Space group F-43m (No. 216)
Inequivalent atoms, fractional coordinates:
Na 0.0000 0.0000 0.0000 x4  12 O 2.94
Ca 0.0000 0.0000 0.5000 x4  12 O 2.94
Y 0.2500 0.2500 0.7500 x4  6 O 2.21
W 0.2500 0.2500 0.2500 x4  6 O 1.94
O 0.0163 0.2500 0.2500 x24  1 W 1.94

Output
As for the energy of formation from the pure elements: -2831 meV/atom. For the energy, the calculation gives -288.8 eV per cell. For the total moment, the calculation gives 0.0 μB/f.u.

5.
Computed, not measured: an optimized crystal structure of Fe6O11F at the GGA+U level of DFT.

Cell: 8.9139 6.4690 7.2568 Å, 90.00 113.76 90.00°
Closest atoms and distances in Å follow each position.
Space group Cm (No. 8)
Inequivalent atoms, fractional coordinates:
Fe 0.0000 0.0000 0.0000 x2  5 O 1.93-1.96, 1 F 2.11
Fe 0.0050 0.0000 0.4810 x2  5 O 1.94-1.99, 1 F 2.05
Fe 0.1711 0.5000 0.1574 x2  6 O 1.90-2.01
Fe 0.1756 0.5000 0.6539 x2  6 O 1.95-2.05
Fe 0.3398 0.0000 0.3253 x2  6 O 1.94-2.09
Fe 0.3504 0.0000 0.8217 x2  5 O 1.93-1.98, 1 F 2.07
O 0.0063 0.3069 0.4913 x4  3 Fe 1.94-1.99
O 0.0809 0.5000 0.8690 x2  3 Fe 1.92-2.05
O 0.1719 0.1889 0.1576 x4  3 Fe 1.93-2.01
O 0.2362 0.0000 0.5322 x2  3 Fe 1.93-2.06
O 0.2733 0.5000 0.4466 x2  3 Fe 1.92-2.02
O 0.3420 0.3064 0.8211 x4  3 Fe 1.94-1.98
O 0.3935 0.5000 0.1894 x2  3 Fe 1.90-1.96
O 0.4468 0.0000 0.1173 x2  3 Fe 1.90-2.09
F 0.1087 0.0000 0.7896 x2  3 Fe 2.05-2.11

Output
As for the energy of formation from the pure elements: -1397 meV/atom. For the energy, the calculation gives -221.5 eV per cell. The offset from the most stable computed form comes out at 1.9 meV/atom. For the total moment, the calculation gives 25.1 μB/f.u.

6.
Computed, not measured: an optimized crystal structure of Mn2CoP3O12 at the GGA+U level of DFT.

Cell: 8.6219 8.6219 20.6884 Å, 90.00 90.00 120.00°
Closest atoms and distances in Å follow each position.
Space group R-3c (No. 167, hexagonal axes)
Inequivalent atoms, fractional coordinates:
Mn 0.0000 0.0000 0.1425 x12  6 O 1.94-2.05
Co 0.0000 0.0000 0.0000 x6  6 O 2.17
P 0.0000 0.2923 0.2500 x18  4 O 1.53-1.57
O 0.0020 0.1986 0.1878 x36  1 P 1.53
O 0.0185 0.1830 0.9247 x36  1 P 1.57

Output
As for the energy of formation from the pure elements: -2237 meV/atom. For the energy, the calculation gives -768.6 eV per cell. For the total moment, the calculation gives 10.4 μB/f.u.

7.
Computed, not measured: an optimized crystal structure of ZnBiWO5 at the GGA+U level of DFT.

Cell: 5.3806 12.0156 8.4934 Å, 90.00 113.09 90.00°
Closest atoms and distances in Å follow each position.
Space group P2_1/c (No. 14)
Inequivalent atoms, fractional coordinates:
Zn 0.0627 0.0851 0.1655 x4  5 O 2.04-2.26
Bi 0.4388 0.1020 0.8415 x4  4 O 2.22-2.45
W 0.2980 0.6379 0.0296 x4  4 O 1.85-1.94
O 0.1542 0.5690 0.1696 x4  1 W 1.85
O 0.2061 0.7058 0.4855 x4  1 W 1.94, 1 Zn 2.09
O 0.2603 0.0260 0.0167 x4  2 Zn 2.07-2.26, 2 Bi 2.22-2.26
O 0.2947 0.5699 0.8314 x4  1 W 1.86
O 0.3487 0.1879 0.3296 x4  1 W 1.90, 1 Zn 2.04

Output
As for the energy of formation from the pure elements: -1765 meV/atom. For the energy, the calculation gives -196.4 eV per cell. The offset from the most stable computed form comes out at 16.2 meV/atom. For the total moment, the calculation gives 1.0 μB/f.u.

8.
Computed, not measured: an optimized crystal structure of CeVO4 at the GGA+U level of DFT.

Cell: 5.1916 5.1916 11.2995 Å, 90.00 90.00 90.00°
Closest atoms and distances in Å follow each position.
Space group I4_1/a (No. 88, origin choice 2)
Inequivalent atoms, fractional coordinates:
Ce 0.0000 0.2500 0.1250 x4  8 O 2.36-2.42
V 0.0000 0.2500 0.6250 x4  4 O 1.81
O 0.1539 0.0111 0.2950 x16  1 V 1.81

Output
As for the energy of formation from the pure elements: -3133 meV/atom. For the energy, the calculation gives -196.6 eV per cell. For the total moment, the calculation gives 1.0 μB/f.u.

- The highest total moment belongs to which entry?
  Fe6O11F

- Among the records above, which one has the highest energy of formation from the pure elements?
  Fe6O11F

Copy entry 3 word for word.
Computed, not measured: an optimized crystal structure of LiMnB2O5 at the GGA+U level of DFT.

Cell: 6.7410 9.4751 6.4930 Å, 90.00 106.24 90.00°
Closest atoms and distances in Å follow each position.
Space group P2_1/c (No. 14)
Inequivalent atoms, fractional coordinates:
Li 0.2451 0.1876 0.2996 x4  3 O 1.97-2.09
Mn 0.1806 0.5611 0.1819 x4  4 O 1.93-1.99
B 0.1408 0.6312 0.7062 x4  3 O 1.35-1.40
B 0.4942 0.5476 0.7226 x4  3 O 1.38
O 0.0425 0.7426 0.1756 x4  1 B 1.35
O 0.0909 0.5182 0.8188 x4  1 B 1.39
O 0.3088 0.6127 0.6209 x4  2 B 1.38-1.40
O 0.3207 0.1187 0.7440 x4  1 B 1.38
O 0.4803 0.5920 0.2173 x4  1 B 1.38

Output
As for the energy of formation from the pure elements: -2498 meV/atom. For the energy, the calculation gives -266.2 eV per cell. The offset from the most stable computed form comes out at 45.6 meV/atom. For the total moment, the calculation gives 4.0 μB/f.u.

- Number 7 is which compound?
  ZnBiWO5